(one)
VASP calculation (PBE with a Hubbard U) on a geometry-optimized Li3VP2O8 structure.

Cell and atoms, written as extended XYZ:
```
112
Lattice="5.0677 0.0000 0.0000 0.0000 12.3149 0.0000 0.0000 0.0000 18.0096" Properties=species:S:1:pos:R:3 pbc="T T T"
Li 0.2711 4.3480 13.5269
Li 0.2711 1.8095 4.5221
Li 0.3396 5.6792 16.9237
Li 0.3396 0.4782 7.9189
Li 0.1943 8.8097 10.4731
Li 0.1943 9.6626 1.4683
Li 2.2936 0.4050 3.2369
Li 2.2936 5.7524 12.2417
Li 2.0978 9.7483 14.9155
Li 2.0978 8.7240 5.9107
Li 2.3294 7.4820 9.2615
Li 2.3294 10.9903 0.2567
Li 2.7383 1.3245 9.2615
Li 2.7383 4.8329 0.2567
Li 2.9700 2.5666 5.9107
Li 2.9700 3.5908 14.9155
Li 2.7741 6.5625 3.2369
Li 2.7741 11.9098 12.2417
Li 4.8734 3.5052 1.4683
Li 4.8734 2.6523 10.4731
Li 4.7282 11.8366 16.9237
Li 4.7282 6.6357 7.9189
Li 4.7967 10.5054 13.5269
Li 4.7967 7.9669 4.5221
V 0.4450 1.2125 13.7507
V 0.4450 4.9449 4.7459
V 2.1799 1.8719 0.1337
V 2.1799 4.2855 9.1385
V 2.8879 8.0293 0.1337
V 2.8879 10.4429 9.1385
V 4.6227 7.3699 13.7507
V 4.6227 11.1024 4.7459
P 0.0115 8.8561 16.5674
P 0.0115 9.6162 7.5625
P 0.2183 11.9265 10.7465
P 0.2183 6.5458 1.7417
P 2.2577 8.8931 12.1427
P 2.2577 9.5792 3.1379
P 2.4398 6.5591 15.3208
P 2.4398 11.9131 6.3160
P 2.6280 0.4017 15.3208
P 2.6280 5.7557 6.3160
P 2.8100 2.7357 12.1427
P 2.8100 3.4218 3.1379
P 4.8495 0.3884 1.7417
P 4.8495 5.7690 10.7465
P 5.0562 2.6987 16.5674
P 5.0562 3.4588 7.5625
O 0.0155 5.9596 12.2927
O 0.0155 0.1978 3.2879
O 0.1489 9.0573 15.0258
O 0.1489 9.4150 6.0210
O 0.4692 1.2806 16.9369
O 0.4692 4.8768 7.9320
O 0.3699 6.9351 9.9280
O 0.3699 11.5371 0.9232
O 0.5762 4.4653 10.4521
O 0.5762 1.6922 1.4473
O 0.7365 8.7231 12.4933
O 0.7365 9.7492 3.4885
O 1.0631 3.6217 17.2246
O 1.0631 2.5357 8.2198
O 1.0613 6.2220 14.6951
O 1.0613 12.2503 5.6903
O 1.4061 9.1836 17.1609
O 1.4061 9.2887 8.1561
O 1.5292 6.6877 5.7370
O 1.5292 11.7846 14.7418
O 1.7455 6.7154 1.4438
O 1.7455 11.7569 10.4486
O 2.0152 1.4345 12.4071
O 2.0152 4.7229 3.4023
O 2.2057 2.2470 3.9187
O 2.2057 3.9104 12.9235
O 2.2673 12.0857 7.8675
O 2.2673 6.3866 16.8723
O 2.2955 9.0683 10.5772
O 2.2955 9.4040 1.5724
O 2.1557 1.8154 14.9295
O 2.1557 4.3420 5.9247
O 2.9121 7.9729 14.9295
O 2.9121 10.4994 5.9247
O 2.7723 3.2466 1.5724
O 2.7723 2.9108 10.5772
O 2.8005 5.9282 7.8675
O 2.8005 0.2292 16.8723
O 2.8620 8.4044 3.9187
O 2.8620 10.0679 12.9235
O 3.0526 7.5919 12.4071
O 3.0526 10.8803 3.4023
O 3.3223 0.5580 1.4438
O 3.3223 5.5995 10.4486
O 3.5386 5.6272 14.7418
O 3.5386 0.5303 5.7370
O 3.6617 3.1313 8.1561
O 3.6617 3.0262 17.1609
O 4.0064 6.0928 5.6903
O 4.0064 0.0646 14.6951
O 4.0046 9.7791 17.2246
O 4.0046 8.6931 8.2198
O 4.3312 2.5657 12.4933
O 4.3312 3.5917 3.4885
O 4.4916 7.8496 1.4473
O 4.4916 10.6227 10.4521
O 4.6979 5.3797 0.9232
O 4.6979 0.7777 9.9280
O 4.5986 7.4381 16.9369
O 4.5986 11.0342 7.9320
O 4.9188 2.8999 15.0258
O 4.9188 3.2575 6.0210
O 5.0523 6.3552 3.2879
O 5.0523 12.1170 12.2927
```

Summary:
* space group: Pca2_1 (29)

(two)
VASP calculation (PBE with a Hubbard U) on a geometry-optimized Li3VP2O8 structure.

Cell and atoms, written as extended XYZ:
```
14
Lattice="-4.4904 1.6639 -1.1194 -1.3586 -1.1919 -4.5738 -2.5444 -5.3370 2.1055" Properties=species:S:1:pos:R:3 pbc="T T T"
Li -1.7178 -1.3755 -0.4202
Li -4.1967 -2.4325 -1.7938
Li -6.6756 -3.4895 -3.1675
V -2.9245 0.2360 -2.8466
P -2.8184 -4.0030 0.7542
P -5.5750 -0.8620 -4.3419
O -4.4131 0.1719 -4.1432
O -5.4720 -1.9779 -3.3259
O -5.9289 -3.0887 -0.4801
O -4.2342 -4.6341 -2.3493
O -4.1592 -0.2309 -1.2384
O -2.4645 -1.7763 -3.1076
O -3.9803 -5.0369 0.5556
O -2.9215 -2.8871 -0.2618
```

Summary:
* space group: C2/m (12)

(three)
VASP calculation (PBE with a Hubbard U) on a geometry-optimized Li3VP2O8 structure.

Cell and atoms, written as extended XYZ:
```
56
Lattice="-6.5264 1.1168 5.6885 -7.4360 -3.8435 -2.5996 1.9081 -7.8408 4.4172" Properties=species:S:1:pos:R:3 pbc="T T T"
Li -3.0461 -2.8399 0.7284
Li -2.0098 -5.5928 4.8628
Li -4.7749 -3.4777 7.1134
Li -5.9212 -1.0921 5.9204
Li -6.4214 -3.5748 1.9142
Li -5.9609 -9.3949 1.6900
Li -5.5162 -6.9617 5.4329
Li -7.3236 -7.1531 0.4440
Li -5.5120 -7.0823 9.3522
Li -9.8410 -5.2537 2.6471
Li -8.8272 -7.5286 6.7167
Li -11.0128 -2.6179 3.6738
V -4.8870 -1.0213 2.7356
V -4.1855 -6.3315 2.6065
V -7.8986 -4.2227 4.8896
V -7.1845 -9.5483 4.7879
P -1.8432 -0.2929 1.8706
P -1.1563 -5.5481 1.8460
P -4.6953 -3.6595 4.5313
P -4.0488 -9.2429 3.9545
P -8.0181 -1.3791 3.5114
P -7.4229 -6.9387 2.9960
P -10.9938 -4.9566 5.6481
P -10.2934 -10.2059 5.6044
O -0.7185 -0.9668 1.0997
O 0.1779 -5.2132 2.5307
O -3.0375 -1.2922 2.0022
O -2.1992 -6.0023 2.8976
O -3.6666 -2.9682 5.4181
O -3.1860 -9.7679 2.8109
O -11.7445 -3.6476 1.9946
O -10.3622 -6.1773 6.3848
O -4.6553 -5.0091 1.1052
O -3.1548 -6.9114 6.7523
O -5.5626 -1.9362 0.9453
O -4.4242 -5.1687 4.3168
O -4.8803 -2.9794 3.1496
O -4.0550 -7.6845 4.0489
O -6.0496 -3.5312 5.3176
O -5.5267 -9.6597 3.6680
O -6.5815 -0.8436 3.8787
O -6.0716 -7.0411 2.2073
O -7.9431 -2.9232 3.3537
O -7.2217 -7.5858 4.3870
O -7.7767 -5.4432 3.2303
O -6.4798 -8.6242 6.5464
O -8.8633 -3.6808 0.7285
O -7.5262 -5.5424 6.4204
O -1.7147 -4.3296 1.0309
O -0.4084 -6.7871 5.6254
O -8.9313 -0.9399 4.6411
O -8.4633 -7.6100 2.1108
O -10.0233 -4.3473 4.5665
O -9.0793 -9.2287 5.5638
O -12.3256 -5.3419 4.9827
O -11.5400 -9.5501 6.1870
```

Summary:
* space group: P1 (1)

Tell me which of them is the least stable. Sure, it is (three).

(one)
VASP calculation (PBE with a Hubbard U) on a geometry-optimized Li3VP2O8 structure.

Cell and atoms, written as extended XYZ:
```
56
Lattice="-17.6259 1.3936 3.1134 -0.7724 -4.1639 -2.5087 -0.0350 -7.2820 3.0617" Properties=species:S:1:pos:R:3 pbc="T T T"
Li -2.3580 -4.6390 1.1849
Li -8.6718 -9.1712 1.3597
Li -6.9463 -7.9185 3.5231
Li -1.6846 -6.0813 -1.4022
Li -16.7485 -3.9710 5.0686
Li -16.0752 -5.4133 2.4815
Li -14.4355 -2.7257 2.4951
Li -9.7614 -0.8811 2.3066
Li -12.6289 -6.5109 3.7037
Li -5.8043 -3.5414 -0.0374
Li -11.4869 -2.1337 0.1432
Li -3.9977 -7.3266 1.1713
V -7.2179 -6.4008 0.6025
V -11.2153 -3.6514 3.0639
V -15.5290 0.3320 2.2981
V -2.9042 -10.3843 1.3683
P -9.8467 -6.6216 2.6638
P -14.5567 -8.3416 2.6189
P -5.1379 -5.2533 2.7980
P -17.3878 -2.3830 2.4681
P -8.5865 -3.4306 1.0026
P -13.2953 -4.7990 0.8683
P -1.0454 -7.6693 1.1983
P -3.8764 -1.7106 1.0475
O -16.8358 -3.6446 3.0957
O -5.8248 -5.1937 1.3900
O -10.6377 -6.5249 1.3209
O -4.1449 -4.5044 -0.8943
O -5.8295 -6.2677 3.6958
O -12.4573 -2.0502 2.7095
O -3.7096 -1.7186 -0.5114
O -12.6084 -4.8586 2.2764
O -14.7845 -4.3863 1.1579
O -13.0135 -8.1687 2.3728
O -7.7954 -3.5274 2.3455
O -15.3494 -7.2099 1.9833
O -14.7236 -8.3337 4.1778
O -16.7171 -1.1239 3.1441
O -14.2883 -5.5478 4.5607
O -3.0838 -2.8424 1.6830
O -5.9759 -8.0020 0.9569
O -8.3050 -6.7128 2.3852
O -10.0468 -5.2937 3.4936
O -1.3368 -7.6804 2.7324
O -1.5974 -6.4076 0.5707
O -1.7160 -8.9283 0.5223
O -5.4197 -1.8835 1.2936
O -8.0958 -2.2514 0.1908
O -17.1321 -6.4281 4.0461
O -17.0964 -2.3718 0.9340
O -1.3011 -3.6242 -0.3797
O -10.3374 -7.8008 3.4756
O -12.6037 -3.7846 -0.0294
O -3.6486 -5.6659 2.5085
O -8.3864 -4.7586 0.1727
O -10.1282 -3.3395 1.2812
```

Summary:
* space group: P2_1/c (14)

(two)
VASP calculation (PBE with a Hubbard U) on a geometry-optimized Li3VP2O8 structure.

Cell and atoms, written as extended XYZ:
```
56
Lattice="-0.4772 -0.0001 7.1258 8.5420 5.3597 -0.5441 -8.5415 5.3589 0.5441" Properties=species:S:1:pos:R:3 pbc="T T T"
Li -0.4444 9.3794 2.5878
Li -0.4448 4.0196 2.5882
Li -0.0323 1.3391 4.5379
Li -0.0319 6.6989 4.5375
Li -5.9654 6.6995 3.1520
Li 2.5760 6.6989 2.6071
Li 5.4887 4.0190 3.9737
Li -3.0527 4.0196 4.5186
Li 2.5525 4.0214 4.7310
Li -5.9873 4.0177 5.2772
Li -3.0292 6.6972 2.3948
Li 5.5106 6.7008 1.8486
V 1.6337 6.6997 6.7846
V -2.1104 4.0188 0.3411
V 1.6342 1.3393 6.7848
V -2.1109 9.3792 0.3409
P 0.0091 4.0186 5.5357
P 0.0090 9.3788 5.5359
P -0.4857 6.6999 1.5901
P -0.4857 1.3397 1.5898
P 3.3722 4.0201 1.5308
P -5.1679 4.0193 2.0767
P -3.8490 6.6984 5.5949
P 4.6912 6.6992 5.0491
O -0.7063 9.3791 6.8847
O -0.7058 4.0189 6.8847
O 0.2296 1.3394 0.2410
O 0.2291 6.6997 0.2410
O 0.5009 1.3394 2.7641
O 0.5014 6.7009 2.7638
O -0.9776 9.3792 4.3617
O -0.9781 4.0176 4.3619
O 3.4790 4.0197 3.0705
O -5.0602 4.0193 3.6165
O -3.9558 6.6988 4.0552
O 4.5835 6.6992 3.5093
O -5.2528 6.6970 6.2535
O 3.2874 6.6996 5.7081
O 4.7761 4.0215 0.8723
O -3.7641 4.0190 1.4176
O 0.9834 2.7898 5.3959
O 0.9823 8.1494 5.3963
O 0.9823 5.2481 5.3955
O -7.5586 5.2473 5.9404
O -1.4590 5.4704 1.7302
O 7.0818 5.4712 1.1854
O -1.4600 7.9288 1.7298
O -1.4590 2.5691 1.7294
O 2.6402 2.7180 1.0935
O 2.6407 8.0776 1.0950
O 2.6381 5.3211 1.0934
O -5.9010 5.3209 1.6394
O -3.1148 5.3974 6.0323
O 5.4243 5.3976 5.4864
O -3.1169 8.0006 6.0322
O -3.1174 2.6409 6.0307
```

Tell me which of them is the least stable. Sure, it is (two).